ErInAu: optimized geometry, r²SCAN.

Values from the calculation:
As for the formation energy: -857 meV/atom.

abc: 7.6252 7.6252 3.9829
angles: 90.00 90.00 120.00
Last column: nearest neighbours and their distance in Å.
Atoms (fractional coordinates):
Er 0.5957 0.0000 0.5000  5 Au 3.06-3.08, 6 In 3.24-3.36
Er 0.4043 0.4043 0.5000  5 Au 3.06-3.08, 6 In 3.24-3.36
Er 0.0000 0.5957 0.5000  5 Au 3.06-3.08, 6 In 3.24-3.36
In 0.0000 0.2605 0.0000  4 Au 2.81-2.86
In 0.7395 0.7395 0.0000  4 Au 2.81-2.86
In 0.2605 0.0000 0.0000  4 Au 2.81-2.86
Au 0.6667 0.3333 0.0000  3 In 2.86, 6 Er 3.06
Au 0.3333 0.6667 0.0000  3 In 2.86, 6 Er 3.06
Au 0.0000 0.0000 0.5000  6 In 2.81, 3 Er 3.08